Entry 1:
# PBE-GGA SnO2, optimized geometry
# * total energy: -37.69 eV/cell
# * energy of formation from the pure elements: -2.1052 eV per atom
# * E (MP2020): -6.740 eV/atom
data_SnO2
_cell_length_a 4.7880
_cell_length_b 4.8666
_cell_length_c 3.2409
_cell_angle_alpha 90.00
_cell_angle_beta 90.00
_cell_angle_gamma 90.00
_space_group_name_H-M_alt 'P n n m'
_space_group_IT_number 58
loop_
_space_group_symop_operation_xyz
'x,y,z'
'-x,-y,-z'
'-x,-y,z'
'x,y,-z'
'x+1/2,-y+1/2,-z+1/2'
'-x+1/2,y+1/2,z+1/2'
'-x+1/2,y+1/2,-z+1/2'
'x+1/2,-y+1/2,z+1/2'
loop_
_atom_site_label
_atom_site_fract_x
_atom_site_fract_y
_atom_site_fract_z
Sn1 0.0000 0.0000 0.0000
O1 0.2081 0.1790 0.5000



Entry 2:
# PBE-GGA Mg2Cd, optimized geometry
# * total energy: -25.85 eV/cell
# * energy of formation from the pure elements: -0.0614 eV per atom
data_Mg2Cd
_cell_length_a 5.4123
_cell_length_b 5.4123
_cell_length_c 15.6768
_cell_angle_alpha 90.00
_cell_angle_beta 90.00
_cell_angle_gamma 120.00
_space_group_name_H-M_alt 'R 3 2'
_space_group_IT_number 155
_space_group_name_Hall 'R 3 2"'
loop_
_atom_site_label
_atom_site_fract_x
_atom_site_fract_y
_atom_site_fract_z
Mg1 0.0000 0.0000 0.0000
Mg2 0.0000 0.6678 0.5000
Cd1 0.0000 0.0000 0.3342



Entry 3:
# PBE-GGA TbTe, optimized geometry
# * total energy: -41.57 eV/cell
# * energy of formation from the pure elements: -1.5179 eV per atom
# * E (MP2020): -5.407 eV/atom
data_TbTe
_cell_length_a 6.1841
_cell_length_b 6.1841
_cell_length_c 6.1841
_cell_angle_alpha 90.00
_cell_angle_beta 90.00
_cell_angle_gamma 90.00
_space_group_name_H-M_alt 'F m -3 m'
_space_group_IT_number 225
_space_group_name_Hall '-F 4 2 3'
loop_
_atom_site_label
_atom_site_fract_x
_atom_site_fract_y
_atom_site_fract_z
Tb1 0.0000 0.0000 0.0000
Te1 0.0000 0.0000 0.5000